(1)
## Na2Zr4As3P3O24 (PBE)

Data for a geometry-optimized Na2Zr4As3P3O24 structure.

The density comes out at 3.28 g/cm³. The calculation puts the formation enthalpy at 0 K at -2.83 eV/atom. The crystal system is trigonal.

a b c (Å): 9.1354 9.1354 9.4124
angles (deg): 90.00 60.97 120.00
Last column: nearest neighbours and their distance in Å.
Element x y z (fractional)
1 As 0.7894 0.7500 0.7500  4 O 1.70
2 As 0.5000 0.0394 0.7500  4 O 1.70
3 As 0.2106 0.4606 0.7500  4 O 1.70
4 O 0.5904 0.3804 0.4109  1 P 1.55
5 O 0.1968 0.2682 0.7411  1 As 1.70
6 O 0.0277 0.0878 0.2566  1 P 1.55
7 O 0.7913 0.5012 0.0891  1 P 1.55
8 O 0.7978 0.7909 0.5688  1 As 1.70
9 O 0.3303 0.0620 0.7411  1 As 1.70
10 O 0.1965 0.4122 0.2434  1 P 1.55
11 O 0.6556 0.9399 0.2566  1 P 1.55
12 O 0.2087 0.2099 0.4109  1 P 1.55
13 O 0.2022 0.4930 0.9312  1 As 1.70
14 O 0.9906 0.9286 0.7411  1 As 1.70
15 O 0.6208 0.1196 0.0891  1 P 1.55
16 O 0.4096 0.2901 0.0891  1 P 1.55
17 O 0.0094 0.4380 0.7589  1 As 1.70
18 O 0.4242 0.6334 0.5688  1 As 1.70
19 O 0.6403 0.0070 0.5688  1 As 1.70
20 O 0.9723 0.5601 0.2434  1 P 1.55
21 O 0.8035 0.7157 0.2566  1 P 1.55
22 O 0.3597 0.8666 0.9312  1 As 1.70
23 O 0.3792 0.9988 0.4109  1 P 1.55
24 O 0.6697 0.2318 0.7589  1 As 1.70
25 O 0.5758 0.7091 0.9312  1 As 1.70
26 O 0.8032 0.5714 0.7589  1 As 1.70
27 O 0.3444 0.7843 0.2434  1 P 1.55
28 P 0.7901 0.5401 0.2500  4 O 1.55
29 P 0.2099 0.2500 0.2500  4 O 1.55
30 P 0.5000 0.9599 0.2500  4 O 1.55
31 Zr 0.2813 0.6407 0.0780  6 O 2.06-2.14
32 Zr 0.7039 0.3519 0.9442  6 O 2.08-2.13
33 Zr 0.7187 0.8593 0.4220  6 O 2.06-2.14
34 Zr 0.2961 0.1481 0.5558  6 O 2.08-2.13
35 Na 0.9970 0.4985 0.5045  6 O 2.53-2.66
36 Na 0.0030 0.0015 0.9955  6 O 2.53-2.66

(2)
## P6N7Cl9 (PBE)

Data for a geometry-optimized P6N7Cl9 structure.

The density comes out at 1.98 g/cm³. The calculation puts the formation enthalpy at 0 K at -0.77 eV/atom. The crystal system is monoclinic.

a b c (Å): 10.6779 10.6779 30.6511
angles (deg): 81.09 81.09 35.97
Last column: nearest neighbours and their distance in Å.
Element x y z (fractional)
1 N 0.6008 0.5157 0.2816  2 P 1.57-1.58
2 N 0.7921 0.5513 0.3132  2 P 1.58-1.59
3 N 0.6252 0.4983 0.4565  2 P 1.58
4 N 0.3748 0.5017 0.5435  2 P 1.58
5 N 0.2079 0.4487 0.6868  2 P 1.58-1.59
6 N 0.3992 0.4843 0.7184  2 P 1.57-1.58
7 N 0.5513 0.7921 0.8132  2 P 1.58-1.59
8 N 0.4575 0.4185 0.6307  3 P 1.74
9 N 0.3776 0.5146 0.8392  2 P 1.58-1.59
10 N 0.5017 0.3748 0.0435  2 P 1.58
11 N 0.5146 0.3776 0.3392  2 P 1.58-1.59
12 N 0.5815 0.5425 0.8693  3 P 1.74
13 N 0.5157 0.6008 0.7816  2 P 1.57-1.58
14 N 0.7828 0.5689 0.3984  2 P 1.58-1.59
15 N 0.4311 0.2172 0.1016  2 P 1.58-1.59
16 N 0.4843 0.3992 0.2184  2 P 1.57-1.58
17 N 0.6224 0.4854 0.1608  2 P 1.58-1.59
18 N 0.4830 0.4102 0.4271  2 P 1.58
19 N 0.5689 0.7828 0.8984  2 P 1.58-1.59
20 N 0.5898 0.5170 0.0729  2 P 1.58
21 N 0.2172 0.4311 0.6016  2 P 1.58-1.59
22 N 0.4185 0.4575 0.1307  3 P 1.74
23 N 0.5170 0.5898 0.5729  2 P 1.58
24 N 0.4983 0.6252 0.9565  2 P 1.58
25 N 0.4487 0.2079 0.1868  2 P 1.58-1.59
26 N 0.4854 0.6224 0.6608  2 P 1.58-1.59
27 N 0.5425 0.5815 0.3693  3 P 1.74
28 N 0.4102 0.4830 0.9271  2 P 1.58
29 Cl 0.7671 0.6015 0.7257  1 P 2.02
30 Cl 0.0115 0.7109 0.8971  1 P 2.01
31 Cl 0.4203 0.2075 0.5179  1 P 2.03
32 Cl 0.6968 0.9846 0.0212  1 P 2.00
33 Cl 0.3923 0.9693 0.3523  1 P 2.04
34 Cl 0.7257 0.9856 0.2609  1 P 2.01
35 Cl 0.4324 0.2181 0.8947  1 P 2.03
36 Cl 0.8272 0.1364 0.5636  1 P 2.04
37 Cl 0.6077 0.0307 0.6477  1 P 2.04
38 Cl 0.9885 0.2891 0.1029  1 P 2.01
39 Cl 0.9693 0.3923 0.8523  1 P 2.04
40 Cl 0.8384 0.1585 0.6814  1 P 2.04
41 Cl 0.3032 0.0154 0.9788  1 P 2.00
42 Cl 0.0144 0.2743 0.2391  1 P 2.01
43 Cl 0.2329 0.3985 0.2743  1 P 2.02
44 Cl 0.5797 0.7925 0.4821  1 P 2.03
45 Cl 0.7819 0.5676 0.6053  1 P 2.03
46 Cl 0.2891 0.9885 0.6029  1 P 2.01
47 Cl 0.1616 0.8415 0.3186  1 P 2.04
48 Cl 0.5676 0.7819 0.1053  1 P 2.03
49 Cl 0.0307 0.6077 0.1477  1 P 2.04
50 Cl 0.8636 0.1728 0.9364  1 P 2.04
51 Cl 0.1728 0.8636 0.4364  1 P 2.04
52 Cl 0.1364 0.8272 0.0636  1 P 2.04
53 Cl 0.0154 0.3032 0.4788  1 P 2.00
54 Cl 0.9856 0.7257 0.7609  1 P 2.01
55 Cl 0.3985 0.2329 0.7743  1 P 2.02
56 Cl 0.8415 0.1616 0.8186  1 P 2.04
57 Cl 0.6015 0.7671 0.2257  1 P 2.02
58 Cl 0.7109 0.0115 0.3971  1 P 2.01
59 Cl 0.2075 0.4203 0.0179  1 P 2.03
60 Cl 0.2181 0.4324 0.3947  1 P 2.03
61 Cl 0.9846 0.6968 0.5212  1 P 2.00
62 Cl 0.2743 0.0144 0.7391  1 P 2.01
63 Cl 0.1585 0.8384 0.1814  1 P 2.04
64 Cl 0.7925 0.5797 0.9821  1 P 2.03
65 P 0.5539 0.4791 0.8259  3 N 1.57-1.74
66 P 0.4461 0.5209 0.1741  3 N 1.57-1.74
67 P 0.5217 0.4368 0.5766  3 N 1.58-1.74
68 P 0.4704 0.2608 0.2284  2 N 1.58-1.59
69 P 0.5632 0.4783 0.9234  3 N 1.58-1.74
70 P 0.5168 0.6713 0.6118  2 N 1.58-1.59
71 P 0.4832 0.3287 0.3882  2 N 1.58-1.59
72 P 0.7392 0.5405 0.4484  2 N 1.58-1.59
73 P 0.3562 0.3470 0.1417  3 N 1.58-1.74
74 P 0.3470 0.3562 0.6417  3 N 1.58-1.74
75 P 0.2608 0.4595 0.5516  2 N 1.58-1.59
76 P 0.2608 0.4704 0.7284  2 N 1.58-1.59
77 P 0.4595 0.2608 0.0516  2 N 1.58-1.59
78 P 0.4791 0.5539 0.3259  3 N 1.57-1.74
79 P 0.6713 0.5168 0.1118  2 N 1.58-1.59
80 P 0.5405 0.7392 0.9484  2 N 1.58-1.59
81 P 0.6530 0.6438 0.3583  3 N 1.58-1.74
82 P 0.5209 0.4461 0.6741  3 N 1.57-1.74
83 P 0.4368 0.5217 0.0766  3 N 1.58-1.74
84 P 0.4783 0.5632 0.4234  3 N 1.58-1.74
85 P 0.3287 0.4832 0.8882  2 N 1.58-1.59
86 P 0.6438 0.6530 0.8583  3 N 1.58-1.74
87 P 0.7392 0.5296 0.2716  2 N 1.58-1.59
88 P 0.5296 0.7392 0.7716  2 N 1.58-1.59

(3)
## Nd12Si5Se28 (PBE)

Data for a geometry-optimized Nd12Si5Se28 structure.

The density comes out at 5.74 g/cm³. The calculation puts the formation enthalpy at 0 K at -1.69 eV/atom. The crystal system is triclinic.

a b c (Å): 10.6135 12.1330 12.2114
angles (deg): 119.75 115.75 90.01
Last column: nearest neighbours and their distance in Å.
Element x y z (fractional)
1 Se 0.8324 0.5154 0.7380  4 Nd 2.91-3.13
2 Se 0.6670 0.9537 0.3336  1 Si 2.27
3 Se 0.0951 0.8190 0.8357  4 Nd 2.92-3.19
4 Se 0.5870 0.5801 0.1065  1 Si 2.32
5 Se 0.1045 0.5325 0.5200  1 Si 2.31
6 Se 0.4164 0.2219 0.8962  1 Si 2.31
7 Se 0.8913 0.7701 0.4893  1 Si 2.30
8 Se 0.2603 0.6938 0.0931  4 Nd 2.90-3.15
9 Se 0.0836 0.3151 0.8466  1 Si 2.59
10 Se 0.7635 0.3495 0.9167  1 Si 2.57
11 Se 0.8975 0.2604 0.4695  1 Si 2.31
12 Se 0.4167 0.7196 0.8939  1 Si 2.30
13 Se 0.8573 0.0566 0.7719  1 Si 2.50
14 Se 0.9138 0.2414 0.1436  1 Si 2.52
15 Se 0.4765 0.5633 0.5808  1 Si 2.30
16 Se 0.5132 0.2268 0.4022  1 Si 2.31
17 Se 0.6666 0.4534 0.3327  1 Si 2.27
18 Se 0.3391 0.3747 0.6795  1 Si 2.27
19 Se 0.4808 0.0671 0.5860  1 Si 2.31
20 Se 0.3275 0.8610 0.6536  1 Si 2.28
21 Se 0.9087 0.7317 0.1677  4 Nd 2.90-3.16
22 Se 0.1052 0.0362 0.5234  1 Si 2.30
23 Se 0.2279 0.2133 0.0866  1 Si 2.51
24 Se 0.7413 0.8538 0.9050  4 Nd 2.91-3.18
25 Se 0.1648 0.0308 0.2590  4 Nd 2.94-3.17
26 Se 0.1527 0.5098 0.2372  1 Si 2.59
27 Se 0.5818 0.0756 0.1033  1 Si 2.30
28 Se 0.5272 0.7389 0.4270  1 Si 2.31
29 Nd 0.3491 0.9443 0.1262  7 Se 2.92-3.18
30 Nd 0.6335 0.0674 0.8652  8 Se 2.99-3.34
31 Nd 0.1359 0.0205 0.7705  8 Se 2.99-3.33
32 Nd 0.8720 0.5189 0.2365  8 Se 2.98-3.18
33 Nd 0.2297 0.3179 0.3675  7 Se 2.98-3.14
34 Nd 0.1243 0.5358 0.7770  6 Se 2.91-3.24
35 Nd 0.8713 0.9911 0.2191  7 Se 2.91-3.20
36 Nd 0.3632 0.4662 0.1323  8 Se 2.95-3.22
37 Nd 0.7660 0.2182 0.6343  8 Se 2.97-3.20
38 Nd 0.6543 0.5863 0.8760  7 Se 2.91-3.23
39 Nd 0.2233 0.8218 0.3458  6 Se 2.90-3.19
40 Nd 0.7793 0.7071 0.6522  7 Se 2.91-3.19
41 Si 0.9992 0.2805 0.9997  6 Se 2.50-2.59
42 Si 0.3333 0.1815 0.6668  4 Se 2.27-2.31
43 Si 0.6675 0.2650 0.3301  4 Se 2.27-2.31
44 Si 0.6654 0.7682 0.3360  4 Se 2.27-2.32
45 Si 0.3333 0.6797 0.6661  4 Se 2.28-2.31

(4)
## K2AlInI6 (PBE)

Data for a geometry-optimized K2AlInI6 structure.

The density comes out at 3.69 g/cm³. The calculation puts the formation enthalpy at 0 K at -1.09 eV/atom. The crystal system is cubic.

a b c (Å): 8.5454 8.5454 8.5454
angles (deg): 60.00 60.00 60.00
Last column: nearest neighbours and their distance in Å.
Element x y z (fractional)
1 Al 0.0000 0.0000 0.0000  6 I 2.79
2 I 0.7691 0.2309 0.7691  1 Al 2.79
3 I 0.2309 0.7691 0.2309  1 Al 2.79
4 I 0.2309 0.2309 0.7691  1 Al 2.79
5 I 0.7691 0.7691 0.2309  1 Al 2.79
6 I 0.2309 0.7691 0.7691  1 Al 2.79
7 I 0.7691 0.2309 0.2309  1 Al 2.79
8 In 0.5000 0.5000 0.5000  6 I 3.25
9 K 0.2500 0.2500 0.2500  12 I 4.28
10 K 0.7500 0.7500 0.7500  12 I 4.28